A plane-wave DFT calculation with r2SCAN was carried out for an optimized crystal structure of Sc6FeTe2.

## Properties
* VASP energy: -15.493 eV per atom
* total moment: 2.1 μB per formula unit
* space-group type: P-62m
* formation energy: -0.64 eV/atom

Unit cell a=7.732 b=7.732 c=3.848 alpha=90.00 beta=90.00 gamma=120.00
Element x y z (fractional)
Sc 0.000 0.236 0.000
Sc 0.000 0.610 0.500
Sc 0.236 0.000 0.000
Sc 0.390 0.390 0.500
Sc 0.610 0.000 0.500
Sc 0.764 0.764 0.000
Fe 0.000 0.000 0.500
Te 0.333 0.667 0.000
Te 0.667 0.333 0.000